Below is a geometry-optimized Ag2SeO4 structure, with properties calculated at the PBE level.

Properties
Space group: No. 1
Formation energy from the elements: -0.828 eV/atom
ΔE to the lowest computed polymorph: 11 kJ/mol of formula units
Size of the total moment: 0.0 μB/f.u.
Total energy: -0.16798 hartree per atom
Theoretical density: 5.415 g cm⁻³

Unit cell a=8.5894 b=7.0772 c=6.4580 alpha=78.63 beta=53.88 gamma=47.49
With the nearest neighbours (Å) after each atom.
Positions (direct):
O: 0.1915 0.7135 0.7325  1 Se 1.66
Se: 0.1275 0.1289 0.1178  4 O 1.66-1.72
Ag: 0.4261 0.8210 0.4204  3 O 2.32-2.59
Ag: 0.5770 0.1803 0.5670  2 O 2.25-2.41
O: 0.1319 0.2640 0.3024  1 Se 1.70
O: 0.2728 0.1232 0.7976  1 Se 1.66
Se: 0.8794 0.8657 0.8757  4 O 1.66-1.70
O: 0.2938 0.8067 0.1393  1 Se 1.72
O: 0.7295 0.8627 0.2001  1 Se 1.70
O: 0.8791 0.7219 0.6966  1 Se 1.69
Ag: 0.1777 0.5789 0.1783  3 O 2.32-2.55
Ag: 0.8330 0.4208 0.8148  3 O 2.33-2.52
O: 0.7111 0.1870 0.8636  1 Se 1.70
O: 0.8018 0.2911 0.2756  1 Se 1.72